No. 1
Here is a relaxed CuSi2P3 crystal from the Materials Project database. Energies are from PBE-GGA.

Cell and atoms, written as POSCAR:
```
CuSi2P3
1.0
-2.501 -2.501 0.000
0.000 0.000 -9.982
2.766 -2.766 0.000
Cu Si P
1 2 3
Direct
0.000 0.019 0.000 Cu
0.000 0.512 0.000 Si
0.500 0.242 0.500 Si
0.500 0.364 0.000 P
0.000 0.103 0.500 P
0.000 0.634 0.500 P
```

Output
- Density: 2.56 Mg/m³
- Energy relative to the elements: 0.162 eV per atom
- Size of the total moment: 0.00 μB/cell
- Total DFT energy (no corrections): -30.22 eV/f.u.
- SG: Pmm2 (25)

---

No. 2
Here is a relaxed CuSi2P3 crystal from the Materials Project database. Energies are from PBE-GGA.

Cell and atoms, written as POSCAR:
```
CuSi2P3
1.0
1.819 11.331 0.000
-1.819 11.331 0.000
0.000 0.504 6.422
P Cu Si
6 2 4
Direct
0.849 0.849 0.707 P
0.726 0.726 0.106 P
0.082 0.082 0.971 P
0.380 0.380 0.205 P
0.582 0.582 0.465 P
0.221 0.221 0.587 P
0.360 0.360 0.882 Cu
0.268 0.268 0.255 Cu
0.626 0.626 0.123 Si
0.752 0.752 0.767 Si
0.122 0.122 0.626 Si
0.843 0.843 0.369 Si
```

Output
- Density: 2.67 Mg/m³
- Energy relative to the elements: -0.033 eV per atom
- Size of the total moment: 0.00 μB/cell
- Total DFT energy (no corrections): -31.39 eV/f.u.
- SG: Cm (8)

---

No. 3
Here is a relaxed CuSi4P3 crystal from the Materials Project database. Energies are from PBE-GGA.

Cell and atoms, written as POSCAR:
```
CuSi4P3
1.0
11.608 -1.936 0.000
11.608 1.936 0.000
11.285 0.000 3.337
P Si Cu
3 4 1
Direct
0.314 0.314 0.314 P
0.816 0.816 0.816 P
0.563 0.563 0.563 P
0.063 0.063 0.063 Si
0.250 0.250 0.250 Si
0.751 0.751 0.751 Si
0.498 0.498 0.498 Si
0.994 0.994 0.994 Cu
```

Output
- Density: 2.98 Mg/m³
- Energy relative to the elements: 0.072 eV per atom
- Size of the total moment: 0.00 μB/cell
- Total DFT energy (no corrections): -41.47 eV/f.u.
- SG: R3m (160)

---

No. 4
Here is a relaxed Cu4SnP10 crystal from the Materials Project database. Energies are from PBE-GGA.

Cell and atoms, written as POSCAR:
```
Cu4SnP10
1.0
-4.662 -0.877 -5.544
2.504 -1.654 -6.651
-1.152 -6.644 -2.787
P Cu Sn
10 4 1
Direct
0.505 0.988 0.505 P
0.996 0.505 0.996 P
0.505 0.505 0.988 P
0.505 0.996 0.996 P
0.381 0.875 0.875 P
0.875 0.381 0.875 P
0.875 0.875 0.381 P
0.996 0.996 0.505 P
0.988 0.505 0.505 P
0.873 0.873 0.873 P
0.000 0.000 0.000 Cu
0.376 0.376 0.866 Cu
0.866 0.376 0.376 Cu
0.376 0.866 0.376 Cu
0.427 0.427 0.427 Sn
```

Output
- Density: 4.13 Mg/m³
- Energy relative to the elements: -0.123 eV per atom
- Total DFT energy (no corrections): -76.38 eV/f.u.
- SG: R3m (160)
- Largest piezoelectric modulus: 0.8 C/m2

---

No. 5
Here is a relaxed Cu4SnP10 crystal from the Materials Project database. Energies are from PBE-GGA.

Cell and atoms, written as POSCAR:
```
Cu4SnP10
1.0
7.583 -8.534 0.537
4.418 -0.520 -3.533
-1.172 6.778 2.638
P Cu Sn
10 4 1
Direct
0.979 0.015 0.477 P
0.316 0.312 0.000 P
0.254 0.387 0.461 P
0.793 0.387 0.539 P
0.471 0.466 0.000 P
0.676 0.013 0.000 P
0.420 0.648 0.410 P
0.010 0.648 0.590 P
0.501 0.015 0.523 P
0.522 0.877 0.000 P
0.230 0.846 0.501 Cu
0.071 0.785 0.000 Cu
0.236 0.968 0.000 Cu
0.729 0.846 0.499 Cu
0.881 0.334 0.000 Sn
```

Output
- Density: 4.52 Mg/m³
- Energy relative to the elements: 0.249 eV per atom
- Size of the total moment: 0.00 μB/cell
- Total DFT energy (no corrections): -70.81 eV/f.u.
- SG: Cm (8)

---

No. 6
Here is a relaxed SrCuP crystal from the Materials Project database. Energies are from PBE-GGA.

Cell and atoms, written as POSCAR:
```
SrCuP
1.0
-0.711 2.708 -3.036
-1.236 -3.920 -0.398
-7.484 2.000 3.535
Sr Cu P
2 2 2
Direct
0.000 0.000 0.500 Sr
0.000 0.000 0.000 Sr
0.667 0.333 0.250 Cu
0.333 0.667 0.750 Cu
0.333 0.667 0.250 P
0.667 0.333 0.750 P
```

Output
- Density: 4.81 Mg/m³
- Energy relative to the elements: -0.819 eV per atom
- Total DFT energy (no corrections): -13.66 eV/f.u.
- SG: P6_3/mmc (194)